Ba3P4O13 | the Materials Project database | PBE | optimized geometry; relative energy among the computed polymorphs = 0.035 eV per formula unit; E = -7.25 eV/atom
1.0
-4.185 2.356 -3.212
-1.418 -4.324 -5.790
-6.898 -3.389 2.871
Ba P O
3 4 13
Cartesian
-7.397 -3.556 -1.296
-5.113 -1.749 -4.805
-11.070 -1.039 -0.355
-4.387 -4.971 -3.217
-3.967 -2.663 0.377
-9.513 -4.657 -4.488
-2.985 -0.699 -1.626
-10.884 -3.957 -4.364
-1.612 -1.397 -1.771
-8.119 -1.491 0.318
-4.375 -3.860 -6.437
-8.459 -3.533 -5.118
-4.026 -1.817 -0.979
-8.919 -4.984 -3.113
-3.577 -0.388 -3.005
-5.297 -3.793 -2.970
-5.181 -5.864 -4.285
-6.996 -1.276 -2.845
-7.160 -2.284 -6.836
-5.338 -3.259 0.588



Mg6SnC | the Materials Project database | PBE | optimized geometry; relative energy among the computed polymorphs = 0.000 eV per formula unit; E = -2.48 eV/atom
1.0
4.585 0.000 0.000
0.000 5.933 0.000
0.000 0.000 12.317
Mg Sn C
12 2 2
Cartesian
0.000 1.631 1.257
0.000 4.302 1.257
0.000 0.000 4.004
2.293 4.475 5.377
2.293 1.459 5.377
2.293 0.000 2.188
0.000 4.598 7.415
0.000 1.336 7.415
0.000 2.967 10.162
2.293 1.508 11.535
2.293 4.425 11.535
2.293 2.967 8.346
0.000 2.967 4.281
0.000 0.000 10.439
2.293 2.967 0.894
2.293 0.000 7.052



E_form in eV/atom, matching the order above: -3.112 0.375